# 1
First-principles (PBE) data for a relaxed Na3CaNbSi2SO12 crystal, as listed in the Materials Project.

Calculated values
The volume is 14.3 Å³/atom. As for the calculated total energy: -6.76 eV per atom. Its total energy after the MP2020 corrections is -7.17 eV per atom. Its formation energy is -61.16 kcal/mol of atoms.

CIF file:
```
data_Na3CaNbSi2SO12
_cell_length_a 9.2902
_cell_length_b 9.2902
_cell_length_c 22.8949
_cell_angle_alpha 90.70
_cell_angle_beta 89.30
_cell_angle_gamma 119.92
_space_group_name_H-M_alt 'P 1'
_space_group_IT_number 1
_space_group_name_Hall 'P 1'
loop_
_atom_site_label
_atom_site_fract_x
_atom_site_fract_y
_atom_site_fract_z
_atom_site_occupancy
Na1 0.6757 0.0208 0.2557 1
Na2 0.9669 0.6156 0.2424 1
Na3 0.9792 0.3243 0.7557 1
Na4 0.3844 0.0331 0.7424 1
Na5 0.3424 0.3541 0.5891 1
Na6 0.6335 0.9489 0.5757 1
Na7 0.6459 0.6576 0.0891 1
Na8 0.0511 0.3665 0.0757 1
Na9 0.0091 0.6875 0.9224 1
Na10 0.3002 0.2823 0.9091 1
Na11 0.3125 0.9909 0.4224 1
Na12 0.7177 0.6998 0.4091 1
Na13 0.9792 0.9748 0.4935 1
Na14 0.0252 0.0208 0.9935 1
Na15 0.6458 0.3081 0.8269 1
Na16 0.6919 0.3542 0.3269 1
Na17 0.3125 0.6415 0.1602 1
Na18 0.3585 0.6875 0.6602 1
Ca1 0.9985 0.0076 0.3513 1
Ca2 0.9924 0.0015 0.8513 1
Ca3 0.6652 0.3409 0.6846 1
Ca4 0.6591 0.3348 0.1846 1
Ca5 0.3318 0.6742 0.0179 1
Ca6 0.3258 0.6682 0.5179 1
Nb1 0.9952 0.9995 0.6475 1
Nb2 0.0005 0.0048 0.1475 1
Nb3 0.6619 0.3328 0.9809 1
Nb4 0.6672 0.3381 0.4809 1
Nb5 0.3286 0.6661 0.3142 1
Nb6 0.3339 0.6714 0.8142 1
Si1 0.6965 0.7054 0.2538 1
Si2 0.0088 0.3041 0.2506 1
Si3 0.2946 0.3035 0.7538 1
Si4 0.6959 0.9912 0.7506 1
Si5 0.3632 0.0387 0.5871 1
Si6 0.6754 0.6375 0.5840 1
Si7 0.9613 0.6368 0.0871 1
Si8 0.3625 0.3246 0.0840 1
Si9 0.0298 0.3721 0.9204 1
Si10 0.3421 0.9708 0.9173 1
Si11 0.6279 0.9702 0.4204 1
Si12 0.0292 0.6579 0.4173 1
S1 0.2878 0.9848 0.2501 1
S2 0.0152 0.7122 0.7501 1
S3 0.9544 0.3182 0.5834 1
S4 0.6818 0.0456 0.0834 1
S5 0.6211 0.6515 0.9168 1
S6 0.3485 0.3789 0.4168 1
O1 0.2262 0.0106 0.3056 1
O2 0.8014 0.7865 0.3112 1
O3 0.9836 0.1915 0.3045 1
O4 0.2135 0.1986 0.8112 1
O5 0.9894 0.7738 0.8056 1
O6 0.8085 0.0164 0.8045 1
O7 0.8014 0.9722 0.6903 1
O8 0.1583 0.1914 0.6958 1
O9 0.0268 0.8223 0.6999 1
O10 0.8086 0.8417 0.1958 1
O11 0.0278 0.1986 0.1903 1
O12 0.1777 0.9732 0.1999 1
O13 0.8928 0.3440 0.6389 1
O14 0.4680 0.1199 0.6446 1
O15 0.6503 0.5248 0.6379 1
O16 0.8801 0.5320 0.1446 1
O17 0.6560 0.1072 0.1389 1
O18 0.4752 0.3497 0.1379 1
O19 0.4681 0.3055 0.0236 1
O20 0.8249 0.5247 0.0292 1
O21 0.6935 0.1557 0.0332 1
O22 0.4753 0.1751 0.5292 1
O23 0.6945 0.5319 0.5236 1
O24 0.8443 0.3065 0.5332 1
O25 0.5595 0.6773 0.9723 1
O26 0.1347 0.4532 0.9779 1
O27 0.3170 0.8582 0.9712 1
O28 0.5468 0.8653 0.4779 1
O29 0.3227 0.4405 0.4723 1
O30 0.1418 0.6830 0.4712 1
O31 0.1347 0.6389 0.3570 1
O32 0.4916 0.8580 0.3625 1
O33 0.3602 0.4890 0.3666 1
O34 0.1420 0.5084 0.8625 1
O35 0.3611 0.8653 0.8570 1
O36 0.5110 0.6398 0.8666 1
O37 0.0077 0.8189 0.4120 1
O38 0.8106 0.9967 0.4141 1
O39 0.2217 0.2044 0.4081 1
O40 0.0033 0.1894 0.9141 1
O41 0.1811 0.9923 0.9120 1
O42 0.7956 0.7783 0.9081 1
O43 0.9456 0.1489 0.5833 1
O44 0.1842 0.0458 0.5908 1
O45 0.8501 0.8242 0.5895 1
O46 0.9542 0.8158 0.0908 1
O47 0.8511 0.0544 0.0833 1
O48 0.1758 0.1499 0.0895 1
O49 0.6744 0.1523 0.7453 1
O50 0.4773 0.3300 0.7474 1
O51 0.8883 0.5378 0.7414 1
O52 0.6700 0.5227 0.2474 1
O53 0.8477 0.3256 0.2453 1
O54 0.4622 0.1117 0.2414 1
O55 0.6123 0.4822 0.9166 1
O56 0.8508 0.3792 0.9241 1
O57 0.5168 0.1575 0.9228 1
O58 0.6208 0.1492 0.4241 1
O59 0.5178 0.3877 0.4166 1
O60 0.8425 0.4832 0.4228 1
O61 0.3410 0.4856 0.0787 1
O62 0.1440 0.6633 0.0808 1
O63 0.5550 0.8711 0.0748 1
O64 0.3367 0.8560 0.5808 1
O65 0.5144 0.6590 0.5787 1
O66 0.1289 0.4450 0.5748 1
O67 0.2790 0.8156 0.2499 1
O68 0.5175 0.7125 0.2574 1
O69 0.1834 0.4908 0.2561 1
O70 0.2875 0.4825 0.7574 1
O71 0.1844 0.7210 0.7499 1
O72 0.5092 0.8166 0.7561 1
```

---

# 2
First-principles (PBE) data for a relaxed Na12Ca10Nb2Si3S15O72 crystal, as listed in the Materials Project.

Calculated values
The volume is 15.4 Å³/atom. As for the space group: P1 (1). As for the calculated total energy: -6.37 eV per atom. Its total energy after the MP2020 corrections is -6.80 eV per atom. Its formation energy is -57.55 kcal/mol of atoms.

CIF file:
```
data_Na12Ca10Nb2Si3S15O72
_cell_length_a 9.2525
_cell_length_b 9.2795
_cell_length_c 23.6095
_cell_angle_alpha 89.87
_cell_angle_beta 89.89
_cell_angle_gamma 60.16
_space_group_name_H-M_alt 'P 1'
_space_group_IT_number 1
_space_group_name_Hall 'P 1'
loop_
_atom_site_label
_atom_site_fract_x
_atom_site_fract_y
_atom_site_fract_z
_atom_site_occupancy
Na1 0.0000 0.0000 0.0000 1
Na2 0.0033 0.6242 0.7339 1
Na3 0.0269 0.2874 0.8270 1
Na4 0.0307 0.9199 0.3072 1
Na5 0.3036 0.2822 0.3190 1
Na6 0.3111 0.9767 0.9074 1
Na7 0.3475 0.9364 0.4070 1
Na8 0.6419 0.6047 0.9893 1
Na9 0.6591 0.2613 0.5757 1
Na10 0.6618 0.9203 0.8062 1
Na11 0.6922 0.2648 0.0763 1
Na12 0.9867 0.6326 0.2326 1
Ca1 0.0103 0.6077 0.8864 1
Ca2 0.3192 0.9666 0.0561 1
Ca3 0.3256 0.9372 0.2421 1
Ca4 0.3355 0.9554 0.5542 1
Ca5 0.3442 0.9389 0.7411 1
Ca6 0.6614 0.2830 0.7146 1
Ca7 0.6613 0.2855 0.9228 1
Ca8 0.6655 0.2861 0.4260 1
Ca9 0.6748 0.2791 0.2151 1
Ca10 0.9913 0.6174 0.3876 1
Nb1 0.0031 0.6060 0.0875 1
Nb2 0.9892 0.6236 0.5878 1
Si1 0.0191 0.9474 0.1495 1
Si2 0.6340 0.9564 0.6530 1
Si3 0.9981 0.3166 0.9826 1
S1 0.0288 0.2634 0.6502 1
S2 0.2883 0.3256 0.4860 1
S3 0.2917 0.6163 0.9898 1
S4 0.3209 0.6480 0.6477 1
S5 0.3235 0.2635 0.1525 1
S6 0.3635 0.2794 0.8181 1
S7 0.3649 0.5823 0.3202 1
S8 0.6422 0.6474 0.1466 1
S9 0.6614 0.5885 0.8208 1
S10 0.6609 0.9894 0.3202 1
S11 0.7064 0.6148 0.4890 1
S12 0.7125 0.9000 0.9872 1
S13 0.9635 0.9879 0.8206 1
S14 0.9704 0.2795 0.3201 1
S15 0.9984 0.9058 0.4872 1
O1 0.9996 0.4242 0.3232 1
O2 0.0025 0.4009 0.9233 1
O3 0.0067 0.7688 0.1352 1
O4 0.0095 0.8206 0.4334 1
O5 0.0202 0.4332 0.6390 1
O6 0.1123 0.1542 0.6024 1
O7 0.1137 0.9599 0.0939 1
O8 0.1192 0.9054 0.2101 1
O9 0.1229 0.2022 0.7039 1
O10 0.1300 0.9759 0.8155 1
O11 0.1402 0.1242 0.3166 1
O12 0.1472 0.9220 0.4936 1
O13 0.1557 0.1286 0.9862 1
O14 0.1622 0.4328 0.1431 1
O15 0.1672 0.6254 0.6378 1
O16 0.1833 0.4355 0.5342 1
O17 0.1917 0.4274 0.8192 1
O18 0.1917 0.6448 0.9383 1
O19 0.1929 0.5989 0.3226 1
O20 0.1943 0.6071 0.0401 1
O21 0.2060 0.4004 0.4312 1
O22 0.2809 0.7466 0.7002 1
O23 0.2926 0.1983 0.2059 1
O24 0.3027 0.1600 0.4898 1
O25 0.3208 0.7591 0.9955 1
O26 0.3373 0.7342 0.5984 1
O27 0.3398 0.7547 0.3180 1
O28 0.3452 0.1262 0.8160 1
O29 0.3468 0.1578 0.1041 1
O30 0.4465 0.4843 0.2693 1
O31 0.4493 0.2914 0.7675 1
O32 0.4538 0.3143 0.4893 1
O33 0.4537 0.4609 0.9888 1
O34 0.4594 0.2650 0.8702 1
O35 0.4588 0.3010 0.1568 1
O36 0.4603 0.4984 0.3720 1
O37 0.4652 0.4814 0.6534 1
O38 0.5074 0.9744 0.3158 1
O39 0.5127 0.7586 0.8173 1
O40 0.5207 0.9624 0.6017 1
O41 0.5399 0.7612 0.4939 1
O42 0.5494 0.9094 0.9942 1
O43 0.5499 0.7263 0.0946 1
O44 0.5708 0.7519 0.1974 1
O45 0.5892 0.9074 0.7143 1
O46 0.6422 0.0897 0.3716 1
O47 0.6503 0.5104 0.8747 1
O48 0.6638 0.4809 0.1534 1
O49 0.6778 0.4830 0.7721 1
O50 0.6805 0.0713 0.2693 1
O51 0.6796 0.1022 0.6525 1
O52 0.7011 0.0651 0.9882 1
O53 0.7032 0.4581 0.4921 1
O54 0.7830 0.6293 0.4363 1
O55 0.7856 0.8127 0.9336 1
O56 0.8153 0.6069 0.8210 1
O57 0.8156 0.8221 0.3237 1
O58 0.8182 0.6087 0.5384 1
O59 0.8176 0.6276 0.1408 1
O60 0.8206 0.3163 0.9921 1
O61 0.8256 0.8031 0.0364 1
O62 0.8300 0.1004 0.1516 1
O63 0.8297 0.7746 0.6354 1
O64 0.8424 0.0671 0.4907 1
O65 0.8565 0.0777 0.7717 1
O66 0.8559 0.3002 0.6549 1
O67 0.8728 0.2980 0.2685 1
O68 0.8863 0.0802 0.8743 1
O69 0.8863 0.2634 0.3710 1
O70 0.9764 0.8207 0.8222 1
O71 0.9922 0.7978 0.5359 1
O72 0.9956 0.4468 0.0362 1
```